Record 1
A plane-wave DFT calculation with meta-GGA r2SCAN was carried out for a relaxed LiVF4 crystal.

Properties
- Formation enthalpy at 0 K: -3.2340 eV/atom
- Crystal system: orthorhombic
- Space group: Pbcn, No. 60
- Size of the total moment: 8.00 μB per cell
- Polymorph energy (0 for the lowest one): 6 meV/atom

Geometry as POSCAR:
```
LiVF4
1.0
-1.520 3.751 2.112
-4.314 0.255 -3.557
-5.414 -5.663 6.160
F Li V
16 4 4
direct
0.279 0.019 0.340 F
0.228 0.773 0.080 F
0.221 0.519 0.340 F
0.728 0.273 0.420 F
0.779 0.519 0.160 F
0.772 0.227 0.920 F
0.721 0.981 0.660 F
0.272 0.727 0.580 F
0.728 0.727 0.920 F
0.779 0.481 0.660 F
0.721 0.019 0.160 F
0.279 0.981 0.840 F
0.228 0.227 0.580 F
0.221 0.481 0.840 F
0.272 0.273 0.080 F
0.772 0.773 0.420 F
0.000 0.811 0.250 Li
0.000 0.189 0.750 Li
0.500 0.311 0.250 Li
0.500 0.689 0.750 Li
0.500 0.000 0.000 V
0.000 0.500 0.000 V
0.000 0.500 0.500 V
0.500 0.000 0.500 V
```

Record 2
A plane-wave DFT calculation with meta-GGA r2SCAN was carried out for a relaxed DySi2Ni crystal.

Properties
- Formation enthalpy at 0 K: -0.8776 eV/atom
- Crystal system: orthorhombic
- Space group: Cmcm, No. 63
- Size of the total moment: 0.00 μB per cell

Geometry as POSCAR:
```
DySi2Ni
1.0
3.944 0.000 0.000
0.000 3.875 -0.936
0.000 -0.020 8.403
Si Dy Ni
4 2 2
direct
0.750 0.460 0.919 Si
0.250 0.250 0.500 Si
0.750 0.750 0.500 Si
0.250 0.540 0.081 Si
0.250 0.894 0.788 Dy
0.750 0.106 0.212 Dy
0.250 0.678 0.356 Ni
0.750 0.322 0.644 Ni
```

Record 3
A plane-wave DFT calculation with meta-GGA r2SCAN was carried out for a relaxed YAsS crystal.

Properties
- Formation enthalpy at 0 K: -1.7855 eV/atom
- Crystal system: orthorhombic
- Space group: Pnma, No. 62
- Size of the total moment: 0.00 μB per cell

Geometry as POSCAR:
```
YAsS
1.0
-2.813 0.270 -2.567
2.184 -1.857 -2.588
-6.300 -14.858 5.343
As S Y
4 4 4
direct
0.250 0.287 0.002 As
0.750 0.713 0.998 As
0.250 0.213 0.502 As
0.750 0.787 0.498 As
0.250 0.736 0.813 S
0.250 0.764 0.313 S
0.750 0.236 0.687 S
0.750 0.264 0.187 S
0.250 0.733 0.646 Y
0.750 0.233 0.854 Y
0.250 0.767 0.146 Y
0.750 0.267 0.354 Y
```

Record 4
A plane-wave DFT calculation with meta-GGA r2SCAN was carried out for a relaxed Ba2ThS6 crystal.

Properties
- Formation enthalpy at 0 K: -1.8810 eV/atom
- Crystal system: tetragonal
- Space group: P4_2/nmc, No. 137
- Size of the total moment: 0.00 μB per cell

Geometry as POSCAR:
```
Ba2ThS6
1.0
5.539 0.000 0.000
0.000 5.539 0.000
0.000 0.000 16.153
S Ba Th
12 4 2
direct
0.500 0.312 0.832 S
0.312 0.500 0.168 S
0.500 0.688 0.832 S
0.500 0.000 0.026 S
0.000 0.812 0.668 S
0.812 0.000 0.332 S
0.500 0.000 0.526 S
0.000 0.500 0.974 S
0.000 0.188 0.668 S
0.000 0.500 0.474 S
0.688 0.500 0.168 S
0.188 0.000 0.332 S
0.000 0.000 0.863 Ba
0.500 0.500 0.363 Ba
0.000 0.000 0.137 Ba
0.500 0.500 0.637 Ba
0.000 0.000 0.500 Th
0.500 0.500 0.000 Th
```

Record 5
A plane-wave DFT calculation with meta-GGA r2SCAN was carried out for a relaxed Hf5Ir3 crystal.

Properties
- Formation enthalpy at 0 K: -0.9154 eV/atom
- Crystal system: hexagonal
- Space group: P6_122, No. 178
- Size of the total moment: 0.00 μB per cell
- Polymorph energy (0 for the lowest one): 0 meV/atom

Geometry as POSCAR:
```
Hf5Ir3
1.0
-3.934 -6.814 0.000
-3.934 6.814 0.000
0.000 0.000 -16.904
Hf Ir
30 18
direct
0.249 0.249 0.500 Hf
0.237 0.228 0.159 Hf
0.656 0.344 0.250 Hf
0.990 0.228 0.008 Hf
0.344 0.656 0.750 Hf
0.656 0.312 0.583 Hf
0.757 0.378 0.417 Hf
0.622 0.378 0.750 Hf
0.000 0.249 0.667 Hf
0.763 0.990 0.174 Hf
0.010 0.772 0.508 Hf
0.751 0.751 0.000 Hf
0.378 0.757 0.583 Hf
0.990 0.763 0.826 Hf
0.751 0.000 0.833 Hf
0.228 0.990 0.992 Hf
0.000 0.751 0.167 Hf
0.237 0.010 0.674 Hf
0.772 0.763 0.341 Hf
0.228 0.237 0.841 Hf
0.622 0.243 0.083 Hf
0.344 0.688 0.083 Hf
0.688 0.344 0.917 Hf
0.312 0.656 0.417 Hf
0.010 0.237 0.326 Hf
0.772 0.010 0.492 Hf
0.249 0.000 0.333 Hf
0.763 0.772 0.659 Hf
0.243 0.622 0.917 Hf
0.378 0.622 0.250 Hf
0.974 0.392 0.810 Ir
0.582 0.608 0.857 Ir
0.392 0.974 0.190 Ir
0.608 0.582 0.143 Ir
0.392 0.418 0.643 Ir
0.380 0.000 0.833 Ir
0.974 0.582 0.024 Ir
0.026 0.418 0.524 Ir
0.620 0.000 0.333 Ir
0.582 0.974 0.976 Ir
0.000 0.380 0.167 Ir
0.418 0.026 0.476 Ir
0.026 0.608 0.310 Ir
0.380 0.380 0.000 Ir
0.418 0.392 0.357 Ir
0.620 0.620 0.500 Ir
0.608 0.026 0.690 Ir
0.000 0.620 0.667 Ir
```

Record 6
A plane-wave DFT calculation with meta-GGA r2SCAN was carried out for a relaxed CuHgC4S4N4 crystal.

Properties
- Formation enthalpy at 0 K: 0.2447 eV/atom
- Crystal system: orthorhombic
- Space group: Pbcn, No. 60
- Size of the total moment: 4.00 μB per cell

Geometry as POSCAR:
```
CuHgC4S4N4
1.0
7.759 0.000 0.000
0.000 9.027 0.000
0.000 0.000 15.353
S Hg C N Cu
16 4 16 16 4
direct
0.696 0.785 0.234 S
0.696 0.215 0.266 S
0.804 0.715 0.734 S
0.847 0.485 0.094 S
0.196 0.285 0.266 S
0.347 0.015 0.094 S
0.804 0.285 0.766 S
0.653 0.985 0.906 S
0.304 0.785 0.734 S
0.847 0.515 0.406 S
0.196 0.715 0.234 S
0.653 0.015 0.594 S
0.347 0.985 0.406 S
0.153 0.515 0.906 S
0.304 0.215 0.766 S
0.153 0.485 0.594 S
0.954 0.500 0.250 Hg
0.546 0.000 0.750 Hg
0.046 0.500 0.750 Hg
0.454 0.000 0.250 Hg
0.298 0.638 0.153 C
0.095 0.683 0.934 C
0.798 0.138 0.347 C
0.202 0.862 0.653 C
0.095 0.317 0.566 C
0.702 0.638 0.653 C
0.298 0.362 0.347 C
0.405 0.183 0.066 C
0.798 0.862 0.153 C
0.405 0.817 0.434 C
0.905 0.317 0.066 C
0.595 0.817 0.934 C
0.595 0.183 0.566 C
0.702 0.362 0.847 C
0.202 0.138 0.847 C
0.905 0.683 0.434 C
0.626 0.586 0.595 N
0.874 0.914 0.095 N
0.374 0.414 0.405 N
0.874 0.086 0.405 N
0.443 0.302 0.043 N
0.943 0.802 0.457 N
0.126 0.086 0.905 N
0.443 0.698 0.457 N
0.557 0.698 0.957 N
0.057 0.802 0.957 N
0.057 0.198 0.543 N
0.557 0.302 0.543 N
0.943 0.198 0.043 N
0.126 0.914 0.595 N
0.374 0.586 0.095 N
0.626 0.414 0.905 N
0.500 0.500 0.000 Cu
0.000 0.000 0.500 Cu
0.500 0.500 0.500 Cu
0.000 0.000 0.000 Cu
```

Record 7
A plane-wave DFT calculation with meta-GGA r2SCAN was carried out for a relaxed SmBiPd crystal.

Properties
- Formation enthalpy at 0 K: -1.0606 eV/atom
- Crystal system: cubic
- Space group: F-43m, No. 216
- Size of the total moment: 0.00 μB per cell

Geometry as POSCAR:
```
SmBiPd
1.0
0.000 3.384 3.384
3.384 0.000 3.384
3.384 3.384 0.000
Bi Pd Sm
1 1 1
direct
0.000 0.000 0.000 Bi
0.250 0.250 0.250 Pd
0.500 0.500 0.500 Sm
```

Record 8
A plane-wave DFT calculation with meta-GGA r2SCAN was carried out for a relaxed GdBiPd crystal.

Properties
- Formation enthalpy at 0 K: -1.0046 eV/atom
- Crystal system: cubic
- Space group: F-43m, No. 216
- Size of the total moment: 7.00 μB per cell

Geometry as POSCAR:
```
GdBiPd
1.0
-1.925 3.249 2.903
-2.535 3.605 -1.807
-4.720 0.139 0.622
Bi Gd Pd
1 1 1
direct
0.000 0.000 0.000 Bi
0.500 0.500 0.500 Gd
0.250 0.250 0.250 Pd
```